Material: CaFe2S4
Method: DFT, PBE-GGA
State: optimized geometry

Properties
**Corrected total energy (MP2020 scheme)**: -5.969 eV per atom
**Formation energy from the elements**: -899 meV per atom

Cell lengths 7.231, 7.231, 7.231 Å; angles 60.00, 60.00, 60.00 degrees
Positions (direct):
Fe 0.125 0.125 0.625
Fe 0.625 0.125 0.125
Fe 0.125 0.625 0.125
Fe 0.125 0.125 0.125
Ca 0.750 0.750 0.750
Ca 0.500 0.500 0.500
S 0.352 0.944 0.352
S 0.352 0.352 0.944
S 0.352 0.352 0.352
S 0.898 0.898 0.306
S 0.898 0.306 0.898
S 0.944 0.352 0.352
S 0.898 0.898 0.898
S 0.306 0.898 0.898

Material: LaCuO2F
Method: DFT, PBE-GGA
State: optimized geometry

Properties
**Corrected total energy (MP2020 scheme)**: -6.781 eV per atom
**Formation energy from the elements**: -2611 meV per atom

Cell lengths 5.627, 5.627, 5.627 Å; angles 120.43, 120.43, 89.26 degrees
Positions (direct):
O 0.311 0.189 0.500
O 0.811 0.311 0.122
O 0.689 0.811 0.500
O 0.189 0.689 0.878
Cu 0.500 0.500 0.000
Cu 0.000 0.000 0.000
F 0.750 0.750 0.000
F 0.250 0.250 0.000
La 0.750 0.250 0.500
La 0.250 0.750 0.500

Material: SnGeO3
Method: DFT, PBE-GGA
State: optimized geometry

Properties
**Corrected total energy (MP2020 scheme)**: -6.498 eV per atom
**Formation energy from the elements**: -1803 meV per atom

Cell lengths 7.077, 7.077, 7.077 Å; angles 44.31, 44.31, 44.31 degrees
Positions (direct):
Sn 0.167 0.167 0.167
Sn 0.833 0.833 0.833
Ge 0.608 0.608 0.608
Ge 0.392 0.392 0.392
O 0.560 0.223 0.895
O 0.777 0.105 0.440
O 0.105 0.440 0.777
O 0.223 0.895 0.560
O 0.440 0.777 0.105
O 0.895 0.560 0.223

Material: Na9Ca2Nb10Si9P9O72
Method: DFT, PBE-GGA
State: optimized geometry

Properties
**Corrected total energy (MP2020 scheme)**: -8.103 eV per atom
**Formation energy from the elements**: -2961 meV per atom

Cell lengths 9.003, 8.979, 22.771 Å; angles 89.92, 90.00, 120.09 degrees
Positions (direct):
O 0.473 0.314 0.033
O 0.528 0.693 0.972
O 0.165 0.189 0.693
O 0.512 0.662 0.571
O 0.307 0.474 0.472
O 0.471 0.310 0.755
O 0.834 0.021 0.087
O 0.532 0.826 0.755
O 0.976 0.164 0.588
O 0.811 0.979 0.411
O 0.188 0.020 0.588
O 0.367 0.497 0.357
O 0.150 0.661 0.070
O 0.030 0.193 0.192
O 0.508 0.362 0.427
O 0.525 0.715 0.254
O 0.633 0.092 0.143
O 0.293 0.824 0.254
O 0.186 0.006 0.306
O 0.287 0.476 0.754
O 0.506 0.147 0.927
O 0.854 0.360 0.927
O 0.512 0.852 0.072
O 0.640 0.147 0.427
O 0.907 0.535 0.139
O 0.670 0.519 0.253
O 0.024 0.834 0.411
O 0.340 0.488 0.072
O 0.136 0.635 0.359
O 0.186 0.477 0.255
O 0.172 0.175 0.808
O 0.168 0.978 0.910
O 0.996 0.815 0.807
O 0.905 0.366 0.643
O 0.458 0.365 0.143
O 0.453 0.147 0.248
O 0.464 0.158 0.530
O 0.829 0.292 0.253
O 0.188 0.165 0.085
O 0.498 0.633 0.858
O 0.629 0.532 0.639
O 0.504 0.871 0.356
O 0.854 0.493 0.427
O 0.169 0.972 0.194
O 0.811 0.832 0.909
O 0.131 0.498 0.856
O 0.860 0.539 0.751
O 0.690 0.534 0.529
O 0.803 0.971 0.694
O 0.523 0.833 0.472
O 0.366 0.864 0.858
O 0.839 0.311 0.533
O 0.338 0.851 0.571
O 0.827 0.818 0.309
O 0.834 0.812 0.587
O 0.819 0.997 0.806
O 0.180 0.714 0.754
O 0.638 0.493 0.927
O 0.169 0.187 0.410
O 0.164 0.690 0.473
O 0.018 0.187 0.910
O 0.844 0.534 0.029
O 0.021 0.827 0.695
O 0.811 0.834 0.193
O 0.709 0.156 0.750
O 0.469 0.097 0.639
O 0.309 0.835 0.973
O 0.981 0.813 0.086
O 0.168 0.474 0.971
O 0.002 0.175 0.308
O 0.147 0.486 0.572
O 0.689 0.160 0.033
Si 0.622 0.664 0.916
Si 0.709 0.712 0.253
Si 0.336 0.377 0.416
Si 0.337 0.957 0.916
Si 0.042 0.380 0.915
Si 0.620 0.958 0.416
Si 0.043 0.665 0.417
Si 0.289 0.292 0.752
Si 0.005 0.290 0.252
P 0.665 0.035 0.084
P 0.010 0.721 0.752
P 0.275 0.988 0.251
P 0.963 0.334 0.585
P 0.714 0.990 0.751
P 0.666 0.631 0.583
P 0.967 0.632 0.082
P 0.368 0.333 0.084
P 0.371 0.036 0.583
Na 0.992 0.371 0.745
Na 0.000 0.999 0.000
Na 0.686 0.350 0.329
Na 0.377 0.365 0.245
Na 0.000 0.999 0.499
Na 0.651 0.332 0.828
Na 0.626 0.008 0.246
Na 0.319 0.664 0.164
Na 0.348 0.679 0.665
Nb 0.667 0.335 0.979
Nb 0.334 0.666 0.017
Nb 0.332 0.665 0.517
Nb 0.004 0.003 0.645
Nb 0.330 0.663 0.314
Nb 0.994 0.998 0.359
Nb 0.338 0.668 0.813
Nb 0.666 0.335 0.479
Nb 0.996 0.999 0.145
Nb 0.005 0.003 0.858
Ca 0.678 0.344 0.184
Ca 0.656 0.333 0.686

Material: FeCuS2
Method: DFT, PBE-GGA
State: optimized geometry

Properties
**Corrected total energy (MP2020 scheme)**: -5.725 eV per atom
**Formation energy from the elements**: -515 meV per atom

Cell lengths 6.326, 6.326, 6.326 Å; angles 130.83, 130.83, 72.08 degrees
Positions (direct):
S 0.117 0.125 0.492
S 0.875 0.367 0.992
S 0.633 0.625 0.508
S 0.375 0.883 0.008
Fe 0.750 0.250 0.500
Fe 0.000 0.000 0.000
Cu 0.250 0.750 0.500
Cu 0.500 0.500 0.000

Material: NaCe8Se12
Method: DFT, PBE-GGA
State: optimized geometry

Properties
**Corrected total energy (MP2020 scheme)**: -6.385 eV per atom
**Formation energy from the elements**: -2064 meV per atom

Cell lengths 14.855, 14.855, 14.855 Å; angles 145.00, 145.00, 50.33 degrees
Positions (direct):
Se 0.572 0.327 0.605
Se 0.028 0.923 0.745
Se 0.906 0.657 0.595
Se 0.392 0.642 0.901
Se 0.722 0.967 0.395
Se 0.689 0.094 0.750
Se 0.077 0.822 0.105
Se 0.508 0.608 0.250
Se 0.741 0.492 0.099
Se 0.717 0.972 0.895
Se 0.343 0.939 0.250
Se 0.358 0.758 0.750
Se 0.358 0.259 0.750
Se 0.242 0.991 0.599
Se 0.407 0.156 0.095
Se 0.061 0.311 0.405
Se 0.178 0.283 0.255
Se 0.061 0.311 0.905
Se 0.033 0.428 0.755
Se 0.673 0.278 0.245
Se 0.009 0.608 0.250
Se 0.689 0.593 0.750
Se 0.844 0.939 0.250
Se 0.392 0.642 0.401
Na 0.750 0.250 0.500
Na 0.000 0.000 0.000
Ce 0.038 0.661 0.119
Ce 0.667 0.667 0.000
Ce 0.712 0.330 0.123
Ce 0.875 0.246 0.871
Ce 0.417 0.917 0.500
Ce 0.375 0.004 0.129
Ce 0.754 0.625 0.629
Ce 0.542 0.920 0.881
Ce 0.996 0.125 0.371
Ce 0.083 0.583 0.500
Ce 0.208 0.589 0.877
Ce 0.333 0.333 0.000
Ce 0.670 0.792 0.381
Ce 0.339 0.458 0.377
Ce 0.411 0.288 0.619
Ce 0.080 0.962 0.623

Material: CaAg2O4
Method: DFT, PBE-GGA
State: optimized geometry

Properties
**Corrected total energy (MP2020 scheme)**: -5.042 eV per atom
**Formation energy from the elements**: -1119 meV per atom

Cell lengths 6.596, 6.596, 22.008 Å; angles 81.12, 81.12, 60.00 degrees
Positions (direct):
Ag 0.348 0.348 0.967
Ag 0.999 0.999 0.001
Ag 0.375 0.879 0.874
Ag 0.849 0.849 0.470
Ag 0.877 0.368 0.375
Ag 0.251 0.251 0.250
Ag 0.102 0.102 0.715
Ag 0.599 0.599 0.221
Ag 0.879 0.375 0.874
Ag 0.125 0.627 0.125
Ag 0.368 0.877 0.375
Ag 0.148 0.148 0.535
Ag 0.625 0.125 0.625
Ag 0.627 0.125 0.125
Ag 0.399 0.399 0.780
Ag 0.125 0.625 0.625
O 0.688 0.688 0.425
O 0.329 0.329 0.075
O 0.560 0.560 0.818
O 0.439 0.439 0.187
O 0.738 0.191 0.939
O 0.260 0.819 0.064
O 0.035 0.554 0.821
O 0.822 0.822 0.571
O 0.474 0.946 0.681
O 0.217 0.698 0.429
O 0.191 0.738 0.939
O 0.574 0.574 0.322
O 0.319 0.319 0.571
O 0.067 0.067 0.319
O 0.776 0.304 0.569
O 0.698 0.217 0.429
O 0.304 0.776 0.569
O 0.680 0.680 0.922
O 0.440 0.988 0.188
O 0.820 0.820 0.059
O 0.505 0.066 0.313
O 0.931 0.931 0.679
O 0.174 0.174 0.942
O 0.928 0.928 0.175
O 0.819 0.260 0.064
O 0.554 0.035 0.821
O 0.988 0.440 0.188
O 0.946 0.474 0.681
O 0.077 0.077 0.823
O 0.427 0.427 0.679
O 0.066 0.505 0.313
O 0.176 0.176 0.431
Ca 0.749 0.749 0.751
Ca 0.501 0.501 0.498
Ca 0.127 0.127 0.125
Ca 0.639 0.639 0.026
Ca 0.625 0.625 0.625
Ca 0.879 0.879 0.876
Ca 0.889 0.889 0.281
Ca 0.372 0.372 0.374

Material: MgSi
Method: DFT, PBE-GGA
State: optimized geometry

Properties
**Corrected total energy (MP2020 scheme)**: -3.487 eV per atom
**Formation energy from the elements**: 25 meV per atom

Cell lengths 6.423, 6.423, 9.006 Å; angles 76.37, 76.37, 38.98 degrees
Positions (direct):
Mg 0.644 0.644 0.492
Mg 0.252 0.252 0.166
Mg 0.356 0.356 0.508
Mg 0.748 0.748 0.834
Mg 0.470 0.470 0.832
Mg 0.530 0.530 0.168
Si 0.959 0.959 0.635
Si 0.144 0.144 0.698
Si 0.041 0.041 0.365
Si 0.895 0.895 0.028
Si 0.856 0.856 0.302
Si 0.105 0.105 0.972

Material: EuCuSn2
Method: DFT, PBE-GGA
State: optimized geometry

Properties
**Formation energy from the elements**: -439 meV per atom

Cell lengths 9.922, 9.922, 4.586 Å; angles 90.00, 90.00, 153.78 degrees
Positions (direct):
Cu 0.175 0.825 0.750
Cu 0.825 0.175 0.250
Sn 0.249 0.751 0.250
Sn 0.043 0.957 0.750
Sn 0.957 0.043 0.250
Sn 0.751 0.249 0.750
Eu 0.392 0.608 0.750
Eu 0.608 0.392 0.250

Material: Ta2Pb2O7
Method: DFT, PBE-GGA
State: optimized geometry

Properties
**Corrected total energy (MP2020 scheme)**: -8.706 eV per atom
**Formation energy from the elements**: -2726 meV per atom

Cell lengths 13.952, 13.952, 5.910 Å; angles 90.00, 90.00, 163.58 degrees
Positions (direct):
O 0.098 0.902 0.466
O 0.902 0.098 0.966
O 0.795 0.205 0.985
O 0.790 0.210 0.527
O 0.450 0.550 0.208
O 0.205 0.795 0.485
O 0.001 0.999 0.960
O 0.649 0.351 0.237
O 0.999 0.001 0.460
O 0.550 0.450 0.708
O 0.104 0.896 0.973
O 0.896 0.104 0.473
O 0.351 0.649 0.737
O 0.210 0.790 0.027
Pb 0.285 0.715 0.261
Pb 0.447 0.553 0.777
Pb 0.553 0.447 0.277
Pb 0.715 0.285 0.761
Ta 0.841 0.159 0.750
Ta 0.057 0.943 0.751
Ta 0.943 0.057 0.251
Ta 0.159 0.841 0.250

Material: SrTiF5
Method: DFT, PBE-GGA
State: optimized geometry

Properties
**Corrected total energy (MP2020 scheme)**: -6.615 eV per atom
**Formation energy from the elements**: -3878 meV per atom

Cell lengths 7.406, 7.251, 15.015 Å; angles 85.22, 90.00, 90.00 degrees
Positions (direct):
F 0.512 0.000 0.392
F 0.832 0.654 0.852
F 0.869 0.613 0.644
F 0.561 0.676 0.729
F 0.988 0.000 0.892
F 0.131 0.387 0.356
F 0.939 0.676 0.229
F 0.078 0.352 0.960
F 0.178 0.039 0.468
F 0.992 0.300 0.599
F 0.369 0.387 0.856
F 0.701 0.317 0.932
F 0.492 0.700 0.901
F 0.308 0.031 0.793
F 0.837 0.310 0.258
F 0.061 0.324 0.771
F 0.012 0.000 0.108
F 0.578 0.648 0.540
F 0.192 0.031 0.293
F 0.439 0.324 0.271
F 0.631 0.613 0.144
F 0.668 0.654 0.352
F 0.201 0.683 0.568
F 0.822 0.961 0.532
F 0.337 0.690 0.242
F 0.008 0.700 0.401
F 0.299 0.683 0.068
F 0.922 0.648 0.040
F 0.808 0.969 0.707
F 0.163 0.690 0.742
F 0.692 0.969 0.207
F 0.332 0.346 0.648
F 0.168 0.346 0.148
F 0.799 0.317 0.432
F 0.488 0.000 0.608
F 0.422 0.352 0.460
F 0.508 0.300 0.099
F 0.322 0.039 0.968
F 0.663 0.310 0.758
F 0.678 0.961 0.032
Sr 0.652 0.003 0.865
Sr 0.847 0.309 0.085
Sr 0.347 0.691 0.415
Sr 0.348 0.997 0.135
Sr 0.848 0.003 0.365
Sr 0.153 0.691 0.915
Sr 0.152 0.997 0.635
Sr 0.653 0.309 0.585
Ti 0.319 0.189 0.375
Ti 0.382 0.493 0.162
Ti 0.882 0.507 0.338
Ti 0.819 0.811 0.125
Ti 0.618 0.507 0.838
Ti 0.118 0.493 0.662
Ti 0.181 0.189 0.875
Ti 0.681 0.811 0.625

- Which of these has the highest formation energy from the elements?
  MgSi